Entry from Materials Project: crystalline CdIn2O4 at its relaxed geometry (PBE).

Cell and atoms, written as POSCAR:
```
CdIn2O4
1.0
3.581 -0.362 5.530
4.399 4.715 1.396
-1.138 4.212 4.949
Cd In O
2 4 8
Direct
0.500 0.500 0.500
0.750 0.750 0.750
0.125 0.125 0.625
0.125 0.625 0.125
0.625 0.125 0.125
0.125 0.125 0.125
0.888 0.335 0.888
0.362 0.362 0.915
0.362 0.362 0.362
0.915 0.362 0.362
0.888 0.888 0.888
0.335 0.888 0.888
0.362 0.915 0.362
0.888 0.888 0.335
```

## Properties
- Polymorph energy (0 for the lowest one): 0 meV per atom
- Space group: Fd-3m, No. 227

---

Entry from Materials Project: crystalline PrCdIn at its relaxed geometry (PBE).

Cell and atoms, written as POSCAR:
```
PrCdIn
1.0
2.483 -4.300 0.000
2.483 4.300 0.000
0.000 0.000 7.823
Pr Cd In
2 2 2
Direct
0.000 0.000 0.262
0.000 0.000 0.738
0.333 0.667 0.473
0.667 0.333 0.527
0.667 0.333 0.949
0.333 0.667 0.051
```

## Properties
- Space group: P-3m1, No. 164

---

Entry from Materials Project: crystalline CdInRh2 at its relaxed geometry (PBE).

Cell and atoms, written as POSCAR:
```
CdInRh2
1.0
-0.492 -4.437 1.010
-3.908 -2.157 -1.011
-0.094 -3.113 -3.353
Cd In Rh
1 1 2
Direct
0.500 0.500 0.500
0.000 0.000 0.000
0.250 0.250 0.250
0.750 0.750 0.750
```

## Properties
- Space group: Fm-3m, No. 225

---

Entry from Materials Project: crystalline Sc2CdIn at its relaxed geometry (PBE).

Cell and atoms, written as POSCAR:
```
Sc2CdIn
1.0
-4.246 -1.036 2.488
-4.457 0.933 -2.135
-2.922 -3.812 -1.491
Sc Cd In
2 1 1
Direct
0.250 0.250 0.250
0.750 0.750 0.750
0.500 0.500 0.500
0.000 0.000 0.000
```

## Properties
- Space group: Fm-3m, No. 225

---

Entry from Materials Project: crystalline CdIn2Se4 at its relaxed geometry (PBE).

Cell and atoms, written as POSCAR:
```
CdIn2Se4
1.0
-1.332 0.498 6.747
-2.611 6.279 1.144
-1.786 -4.835 -4.581
Cd In Se
1 2 4
Direct
0.750 0.250 0.500
0.250 0.750 0.500
0.500 0.500 0.000
0.740 0.740 0.000
0.491 0.991 0.500
0.009 0.509 0.500
0.260 0.260 0.000
```

## Properties
- Polymorph energy (0 for the lowest one): 204 meV per atom
- Total magnetization: 0.000 Bohr magnetons per cell
- Space group: I-4m2, No. 119

---

Entry from Materials Project: crystalline Cd9In20Se40 at its relaxed geometry (PBE).

Cell and atoms, written as POSCAR:
```
Cd9In20Se40
1.0
-11.094 -5.890 -1.301
1.001 -12.292 5.669
-6.995 -2.293 12.009
Cd In Se
9 20 40
Direct
0.293 0.908 0.485
0.491 0.705 0.081
0.697 0.504 0.683
0.842 0.845 0.149
0.890 0.304 0.279
0.042 0.648 0.748
0.242 0.446 0.349
0.443 0.245 0.950
0.640 0.047 0.548
0.096 0.897 0.795
0.282 0.687 0.387
0.538 0.946 0.139
0.481 0.487 0.989
0.735 0.747 0.742
0.968 0.999 0.493
0.628 0.849 0.441
0.682 0.287 0.588
0.934 0.542 0.340
0.172 0.804 0.089
0.833 0.647 0.042
0.888 0.086 0.184
0.138 0.337 0.932
0.372 0.600 0.693
0.036 0.439 0.638
0.324 0.150 0.542
0.568 0.398 0.292
0.231 0.249 0.240
0.790 0.202 0.897
0.424 0.053 0.840
0.670 0.000 0.228
0.330 0.839 0.177
0.893 0.985 0.924
0.248 0.923 0.871
0.526 0.840 0.858
0.870 0.797 0.829
0.532 0.639 0.778
0.455 0.940 0.586
0.801 0.867 0.518
0.114 0.796 0.523
0.445 0.726 0.473
0.733 0.637 0.460
0.071 0.598 0.428
0.984 0.869 0.240
0.733 0.439 0.376
0.658 0.736 0.189
0.003 0.662 0.117
0.310 0.594 0.124
0.647 0.525 0.072
0.937 0.433 0.053
0.271 0.396 0.026
0.183 0.676 0.838
0.928 0.244 0.979
0.862 0.537 0.781
0.204 0.470 0.714
0.514 0.395 0.724
0.849 0.321 0.674
0.138 0.225 0.688
0.472 0.201 0.626
0.387 0.473 0.440
0.127 0.041 0.581
0.060 0.333 0.390
0.403 0.265 0.318
0.711 0.193 0.322
0.044 0.123 0.273
0.332 0.036 0.260
0.587 0.273 0.038
0.258 0.131 0.992
0.601 0.067 0.917
0.784 0.073 0.641
```

## Properties
- Total magnetization: 0.009 Bohr magnetons per cell
- Space group: P1, No. 1

---

Entry from Materials Project: crystalline CdIn2Se4 at its relaxed geometry (PBE).

Cell and atoms, written as POSCAR:
```
CdIn2Se4
1.0
-2.995 2.995 5.907
2.995 -2.995 5.907
2.995 2.995 -5.907
Cd In Se
1 2 4
Direct
0.000 0.000 0.000
0.500 0.500 0.000
0.250 0.750 0.500
0.099 0.590 0.962
0.863 0.901 0.492
0.410 0.372 0.508
0.628 0.137 0.038
```

## Properties
- Polymorph energy (0 for the lowest one): 0 meV per atom
- Piezoelectric modulus e_max: 0.17 C/m²
- Space group: I-4, No. 82

---

Entry from Materials Project: crystalline CdIn2Se4 at its relaxed geometry (PBE).

Cell and atoms, written as POSCAR:
```
CdIn2Se4
1.0
-1.745 2.305 5.157
3.164 -4.072 2.891
4.812 3.716 -0.032
Cd In Se
1 2 4
Direct
0.000 0.000 0.000
0.500 0.000 0.500
0.000 0.500 0.500
0.727 0.273 0.766
0.273 0.273 0.234
0.273 0.727 0.766
0.727 0.727 0.234
```

## Properties
- Polymorph energy (0 for the lowest one): 4 meV per atom
- Piezoelectric modulus e_max: 0.17 C/m²
- Space group: P-42m, No. 111

---

E_form (computed, eV per atom): -1.849, -0.429, -0.296, -0.374, -0.637, -0.640, -0.842, -0.838